(1)
Here is a geometry-optimized Hg3AsClO4 structure from the Materials Project database. Energies are from GGA-PBE.

a b c (Å): 8.645 8.645 8.645
angles (deg): 90.00 90.00 90.00
Positions (direct):
1 Hg 0.051 0.398 0.354
2 Hg 0.102 0.646 0.551
3 Hg 0.146 0.949 0.898
4 Hg 0.354 0.051 0.398
5 Hg 0.398 0.354 0.051
6 Hg 0.449 0.602 0.854
7 Hg 0.551 0.102 0.646
8 Hg 0.602 0.854 0.449
9 Hg 0.646 0.551 0.102
10 Hg 0.854 0.449 0.602
11 Hg 0.898 0.146 0.949
12 Hg 0.949 0.898 0.146
13 As 0.020 0.520 0.980
14 As 0.480 0.480 0.480
15 As 0.520 0.980 0.020
16 As 0.980 0.020 0.520
17 Cl 0.227 0.773 0.273
18 Cl 0.273 0.227 0.773
19 Cl 0.727 0.727 0.727
20 Cl 0.773 0.273 0.227
21 O 0.100 0.899 0.628
22 O 0.101 0.128 0.400
23 O 0.128 0.400 0.101
24 O 0.134 0.634 0.866
25 O 0.366 0.366 0.366
26 O 0.372 0.600 0.601
27 O 0.399 0.872 0.900
28 O 0.400 0.101 0.128
29 O 0.600 0.601 0.372
30 O 0.601 0.372 0.600
31 O 0.628 0.100 0.899
32 O 0.634 0.866 0.134
33 O 0.866 0.134 0.634
34 O 0.872 0.900 0.399
35 O 0.899 0.628 0.100
36 O 0.900 0.399 0.872

crystal system = cubic
energy relative to the elements = -99 kJ per mole of atoms
size of the total moment = 0.00 μB per cell

=====

(2)
Here is a geometry-optimized MgNi2P structure from the Materials Project database. Energies are from GGA-PBE.

a b c (Å): 6.431 6.348 5.025
angles (deg): 90.00 90.00 90.00
Positions (direct):
1 Mg 0.018 0.250 0.126
2 Mg 0.482 0.750 0.626
3 Mg 0.518 0.250 0.374
4 Mg 0.982 0.750 0.874
5 Ni 0.175 0.053 0.600
6 Ni 0.175 0.447 0.600
7 Ni 0.325 0.553 0.100
8 Ni 0.325 0.947 0.100
9 Ni 0.675 0.053 0.900
10 Ni 0.675 0.447 0.900
11 Ni 0.825 0.553 0.400
12 Ni 0.825 0.947 0.400
13 P 0.126 0.750 0.377
14 P 0.374 0.250 0.877
15 P 0.626 0.750 0.123
16 P 0.874 0.250 0.623

crystal system = orthorhombic
energy relative to the elements = -54 kJ per mole of atoms

=====

- Which value of energy relative to the elements does entry 1 give?
  -99 kJ per mole of atoms

=====

- energy relative to the elements of number 2 (MgNi2P)?
  -54 kJ per mole of atoms

=====

- Look up the energy relative to the elements of the first one.
  -99 kJ per mole of atoms